Below is a geometry-optimized Fe5B2P structure, with properties calculated at the GGA-PBE level.

Unit cell a=6.438 b=6.438 c=6.438 alpha=129.90 beta=129.90 gamma=73.57
Positions (direct):
Fe1 0.000 0.000 0.000
Fe2 0.033 0.533 0.843
Fe3 0.190 0.033 0.500
Fe4 0.310 0.810 0.843
Fe5 0.467 0.310 0.500
Fe6 0.500 0.500 0.000
Fe7 0.533 0.690 0.500
Fe8 0.690 0.190 0.157
Fe9 0.810 0.967 0.500
Fe10 0.967 0.467 0.157
B1 0.119 0.381 0.500
B2 0.381 0.881 0.263
B3 0.619 0.119 0.737
B4 0.881 0.619 0.500
P1 0.250 0.250 0.000
P2 0.750 0.750 0.000

calculated formation energy: -0.3875 eV per atom
calculated volume: 9.6 Å³/atom



Below is a geometry-optimized CrSb2 structure, with properties calculated at the GGA-PBE level.

Unit cell a=5.443 b=5.443 c=5.443 alpha=106.32 beta=106.32 gamma=115.98
Positions (direct):
Cr1 0.250 0.250 0.000
Cr2 0.750 0.750 0.000
Sb1 0.159 0.659 0.819
Sb2 0.341 0.159 0.500
Sb3 0.659 0.841 0.500
Sb4 0.841 0.341 0.181

calculated formation energy: 0.0162 eV per atom
magnetization: 0.676 μB/atom
calculated volume: 20.5 Å³/atom



Below is a geometry-optimized PrEr3 structure, with properties calculated at the GGA-PBE level.

Unit cell a=6.165 b=6.165 c=6.165 alpha=131.58 beta=131.58 gamma=70.90
Positions (direct):
Pr1 0.000 0.000 0.000
Er1 0.250 0.750 0.500
Er2 0.500 0.500 0.000
Er3 0.750 0.250 0.500

calculated formation energy: 0.0323 eV per atom
calculated volume: 32.1 Å³/atom
polymorph energy (0 for the lowest one): 0.05 eV/f.u.



Below is a geometry-optimized CaMg6Cu structure, with properties calculated at the GGA-PBE level.

Unit cell a=4.973 b=6.293 c=11.844 alpha=90.00 beta=90.00 gamma=90.00
Positions (direct):
Ca1 0.000 0.500 0.310
Ca2 0.000 0.000 0.810
Mg1 0.000 0.746 0.077
Mg2 0.000 0.254 0.077
Mg3 0.000 0.000 0.341
Mg4 0.500 0.244 0.436
Mg5 0.500 0.756 0.436
Mg6 0.500 0.000 0.183
Mg7 0.000 0.246 0.577
Mg8 0.000 0.754 0.577
Mg9 0.000 0.500 0.841
Mg10 0.500 0.744 0.936
Mg11 0.500 0.256 0.936
Mg12 0.500 0.500 0.683
Cu1 0.500 0.500 0.139
Cu2 0.500 0.000 0.639

calculated formation energy: 0.0380 eV per atom
magnetization: 0.001 μB/atom
calculated volume: 23.2 Å³/atom
polymorph energy (0 for the lowest one): 0.00 eV/f.u.